[1]
Below is an optimized crystal structure of YMgAu, with properties calculated at the meta-GGA r2SCAN level.

a = 7.5755 Å, b = 7.5755 Å, c = 4.0941 Å
α = 90.00°, β = 90.00°, γ = 120.00°
Space group P-62m (No. 189)
Asymmetric unit:
Y1 0.0000 0.5881 0.0000 (multiplicity 3)
Mg1 0.0000 0.2454 0.5000 (multiplicity 3)
Au1 0.0000 0.0000 0.0000 (multiplicity 1)
Au2 0.3333 0.6667 0.5000 (multiplicity 2)

---

[2]
Below is an optimized crystal structure of YbSi2Ni2, with properties calculated at the meta-GGA r2SCAN level.

a = 3.899 Å, b = 3.899 Å, c = 9.427 Å
α = 90.00°, β = 90.00°, γ = 90.00°
Space group I4/mmm (No. 139)
Asymmetric unit:
Yb1 0.000 0.000 0.000 (multiplicity 2)
Si1 0.000 0.000 0.374 (multiplicity 4)
Ni1 0.000 0.500 0.250 (multiplicity 4)

---

[3]
Below is an optimized crystal structure of SiO2, with properties calculated at the meta-GGA r2SCAN level.

a = 10.235 Å, b = 12.585 Å, c = 21.722 Å
α = 90.00°, β = 90.00°, γ = 90.00°
Space group Imma (No. 74)
Asymmetric unit:
Si1 0.000 0.057 0.157 (multiplicity 8)
Si2 0.000 0.125 0.293 (multiplicity 8)
Si3 0.000 0.125 0.933 (multiplicity 8)
Si4 0.219 0.000 0.000 (multiplicity 8)
Si5 0.222 0.128 0.389 (multiplicity 16)
O1 0.000 0.056 0.231 (multiplicity 8)
O2 0.000 0.064 0.867 (multiplicity 8)
O3 0.000 0.250 0.276 (multiplicity 4)
O4 0.000 0.250 0.920 (multiplicity 4)
O5 0.127 0.118 0.131 (multiplicity 16)
O6 0.128 0.093 0.972 (multiplicity 16)
O7 0.129 0.095 0.332 (multiplicity 16)
O8 0.191 0.051 0.447 (multiplicity 16)
O9 0.192 0.250 0.408 (multiplicity 8)

---

[4]
Below is an optimized crystal structure of AcYbMg2, with properties calculated at the meta-GGA r2SCAN level.

a = 7.865 Å, b = 7.865 Å, c = 7.865 Å
α = 90.00°, β = 90.00°, γ = 90.00°
Space group Fm-3m (No. 225)
Asymmetric unit:
Ac1 0.000 0.000 0.000 (multiplicity 4)
Yb1 0.000 0.000 0.500 (multiplicity 4)
Mg1 0.250 0.250 0.250 (multiplicity 8)

---

[5]
Below is an optimized crystal structure of La2Ni2I, with properties calculated at the meta-GGA r2SCAN level.

a = 4.1222 Å, b = 4.1222 Å, c = 8.8589 Å
α = 90.00°, β = 90.00°, γ = 120.00°
Space group P-6m2 (No. 187)
Asymmetric unit:
La1 0.0000 0.0000 0.2077 (multiplicity 2)
Ni1 0.3333 0.6667 0.0000 (multiplicity 1)
Ni2 0.6667 0.3333 0.0000 (multiplicity 1)
I1 0.6667 0.3333 0.5000 (multiplicity 1)

---

[6]
Below is an optimized crystal structure of HoGe4Rh6, with properties calculated at the meta-GGA r2SCAN level.

a = 7.1526 Å, b = 7.1526 Å, c = 3.8093 Å
α = 90.00°, β = 90.00°, γ = 120.00°
Space group P-6m2 (No. 187)
Asymmetric unit:
Ho1 0.0000 0.0000 0.0000 (multiplicity 1)
Ge1 0.3333 0.6667 0.0000 (multiplicity 1)
Ge2 0.3932 0.1966 0.5000 (multiplicity 3)
Rh1 0.1984 0.3968 0.5000 (multiplicity 3)
Rh2 0.5333 0.0666 0.0000 (multiplicity 3)

---

[7]
Below is an optimized crystal structure of Ca6Ag3Ge5, with properties calculated at the meta-GGA r2SCAN level.

a = 10.895 Å, b = 4.527 Å, c = 14.366 Å
α = 90.00°, β = 109.90°, γ = 90.00°
Space group Cm (No. 8)
Asymmetric unit:
Ca1 0.000 0.000 0.000 (multiplicity 2)
Ca2 0.021 0.500 0.547 (multiplicity 2)
Ca3 0.158 0.500 0.850 (multiplicity 2)
Ca4 0.221 0.500 0.389 (multiplicity 2)
Ca5 0.296 0.500 0.153 (multiplicity 2)
Ca6 0.363 0.500 0.697 (multiplicity 2)
Ag1 0.005 0.500 0.160 (multiplicity 2)
Ag2 0.025 0.000 0.382 (multiplicity 2)
Ag3 0.378 0.000 0.315 (multiplicity 2)
Ge1 0.123 0.000 0.228 (multiplicity 2)
Ge2 0.157 0.000 0.699 (multiplicity 2)
Ge3 0.233 0.000 0.549 (multiplicity 2)
Ge4 0.287 0.000 0.999 (multiplicity 2)
Ge5 0.366 0.000 0.849 (multiplicity 2)

---

[8]
Below is an optimized crystal structure of Li2W2O7, with properties calculated at the meta-GGA r2SCAN level.

a = 5.065 Å, b = 7.038 Å, c = 8.315 Å
α = 69.73°, β = 77.54°, γ = 85.02°
Space group P-1 (No. 2)
Asymmetric unit:
Li1 0.142 0.001 0.267 (multiplicity 2)
Li2 0.308 0.741 0.903 (multiplicity 2)
W1 0.187 0.452 0.335 (multiplicity 2)
W2 0.301 0.247 0.823 (multiplicity 2)
O1 0.051 0.607 0.130 (multiplicity 2)
O2 0.079 0.211 0.368 (multiplicity 2)
O3 0.177 0.021 0.820 (multiplicity 2)
O4 0.180 0.415 0.576 (multiplicity 2)
O5 0.352 0.752 0.300 (multiplicity 2)
O6 0.357 0.185 0.038 (multiplicity 2)
O7 0.459 0.562 0.767 (multiplicity 2)

---

In order of appearance, calculated formation energy = -0.75 -0.87 -3.01 -0.04 -0.78 -0.78 -0.61 -2.37 eV/atom.